# Na3Li3Co2F12 GGA+U relaxed
# SG: No. 230
data_Na3Li3Co2F12
_chemical_formula_sum 'Na12 Li12 Co8 F48'
_symmetry_space_group_name_H-M 'P 1'
_symmetry_Int_Tables_number 1
_cell_length_a 10.8421
_cell_length_b 10.8421
_cell_length_c 10.8421
_cell_angle_alpha 109.47
_cell_angle_beta 109.47
_cell_angle_gamma 109.47
loop_
_symmetry_equiv_pos_as_xyz
'x,y,z'
loop_
_atom_site_label
_atom_site_type_symbol
_atom_site_fract_x
_atom_site_fract_y
_atom_site_fract_z
Na1 Na 0.1250 0.2500 0.3750
Na2 Na 0.1250 0.3750 0.7500
Na3 Na 0.2500 0.3750 0.1250
Na4 Na 0.2500 0.8750 0.6250
Na5 Na 0.3750 0.1250 0.2500
Na6 Na 0.3750 0.7500 0.1250
Na7 Na 0.6250 0.2500 0.8750
Na8 Na 0.6250 0.8750 0.7500
Na9 Na 0.7500 0.1250 0.3750
Na10 Na 0.7500 0.6250 0.8750
Na11 Na 0.8750 0.6250 0.2500
Na12 Na 0.8750 0.7500 0.6250
Li1 Li 0.1250 0.7500 0.8750
Li2 Li 0.1250 0.8750 0.2500
Li3 Li 0.2500 0.1250 0.8750
Li4 Li 0.2500 0.6250 0.3750
Li5 Li 0.3750 0.2500 0.6250
Li6 Li 0.3750 0.6250 0.7500
Li7 Li 0.6250 0.3750 0.2500
Li8 Li 0.6250 0.7500 0.3750
Li9 Li 0.7500 0.3750 0.6250
Li10 Li 0.7500 0.8750 0.1250
Li11 Li 0.8750 0.1250 0.7500
Li12 Li 0.8750 0.2500 0.1250
Co1 Co 0.0000 0.0000 0.0000
Co2 Co 0.0000 0.0000 0.5000
Co3 Co 0.0000 0.5000 0.0000
Co4 Co 0.0000 0.5000 0.5000
Co5 Co 0.5000 0.0000 0.0000
Co6 Co 0.5000 0.0000 0.5000
Co7 Co 0.5000 0.5000 0.0000
Co8 Co 0.5000 0.5000 0.5000
F1 F 0.0168 0.1913 0.1137
F2 F 0.0168 0.3255 0.9031
F3 F 0.0776 0.6913 0.6745
F4 F 0.0776 0.8863 0.4031
F5 F 0.0969 0.6137 0.4224
F6 F 0.0969 0.9832 0.6745
F7 F 0.1137 0.0168 0.1913
F8 F 0.1137 0.5969 0.9224
F9 F 0.1745 0.1913 0.5776
F10 F 0.1745 0.4832 0.5969
F11 F 0.1913 0.1137 0.0168
F12 F 0.1913 0.5776 0.1745
F13 F 0.3087 0.3255 0.9224
F14 F 0.3087 0.4832 0.3863
F15 F 0.3255 0.9031 0.0168
F16 F 0.3255 0.9224 0.3087
F17 F 0.3863 0.3087 0.4832
F18 F 0.3863 0.5776 0.9031
F19 F 0.4031 0.0776 0.8863
F20 F 0.4031 0.8255 0.5168
F21 F 0.4224 0.0969 0.6137
F22 F 0.4224 0.8255 0.8087
F23 F 0.4832 0.3863 0.3087
F24 F 0.4832 0.5969 0.1745
F25 F 0.5168 0.4031 0.8255
F26 F 0.5168 0.6137 0.6913
F27 F 0.5776 0.1745 0.1913
F28 F 0.5776 0.9031 0.3863
F29 F 0.5969 0.1745 0.4832
F30 F 0.5969 0.9224 0.1137
F31 F 0.6137 0.4224 0.0969
F32 F 0.6137 0.6913 0.5168
F33 F 0.6745 0.0776 0.6913
F34 F 0.6745 0.0969 0.9832
F35 F 0.6913 0.5168 0.6137
F36 F 0.6913 0.6745 0.0776
F37 F 0.8087 0.4224 0.8255
F38 F 0.8087 0.8863 0.9832
F39 F 0.8255 0.5168 0.4031
F40 F 0.8255 0.8087 0.4224
F41 F 0.8863 0.4031 0.0776
F42 F 0.8863 0.9832 0.8087
F43 F 0.9031 0.0168 0.3255
F44 F 0.9031 0.3863 0.5776
F45 F 0.9224 0.1137 0.5969
F46 F 0.9224 0.3087 0.3255
F47 F 0.9832 0.6745 0.0969
F48 F 0.9832 0.8087 0.8863

# AlV2O4 GGA+U relaxed
# Distance to the lowest polymorph of the same formula, meV/atom: 36
# SG: No. 2
data_AlV2O4
_chemical_formula_sum 'Al4 V8 O16'
_symmetry_space_group_name_H-M 'P 1'
_symmetry_Int_Tables_number 1
_cell_length_a 5.9552
_cell_length_b 6.0123
_cell_length_c 8.3241
_cell_angle_alpha 89.87
_cell_angle_beta 89.82
_cell_angle_gamma 89.17
loop_
_symmetry_equiv_pos_as_xyz
'x,y,z'
loop_
_atom_site_label
_atom_site_type_symbol
_atom_site_fract_x
_atom_site_fract_y
_atom_site_fract_z
Al1 Al 0.0025 0.2481 0.1295
Al2 Al 0.4974 0.7501 0.6272
Al3 Al 0.5026 0.2499 0.3728
Al4 Al 0.9975 0.7519 0.8705
V1 V 0.0000 0.0000 0.5000
V2 V 0.0000 0.5000 0.5000
V3 V 0.2439 0.2515 0.7472
V4 V 0.2588 0.7478 0.2436
V5 V 0.5000 0.0000 0.0000
V6 V 0.5000 0.5000 0.0000
V7 V 0.7412 0.2522 0.7564
V8 V 0.7561 0.7485 0.2528
O1 O 0.0050 0.0012 0.2544
O2 O 0.0080 0.4957 0.2514
O3 O 0.2450 0.2472 0.4927
O4 O 0.2499 0.7509 0.5007
O5 O 0.2510 0.7536 0.9906
O6 O 0.2521 0.2453 0.0039
O7 O 0.4923 0.5037 0.7498
O8 O 0.4964 0.9943 0.7542
O9 O 0.5036 0.0057 0.2458
O10 O 0.5077 0.4963 0.2502
O11 O 0.7479 0.7547 0.9961
O12 O 0.7490 0.2464 0.0094
O13 O 0.7501 0.2491 0.4993
O14 O 0.7550 0.7528 0.5073
O15 O 0.9920 0.5043 0.7486
O16 O 0.9950 0.9988 0.7456

# Ba2MgMnWO6 GGA+U relaxed
# Distance to the lowest polymorph of the same formula, meV/atom: 110
# SG: No. 1
data_Ba2MgMnWO6
_chemical_formula_sum 'Ba2 Mg1 Mn1 W1 O6'
_symmetry_space_group_name_H-M 'P 1'
_symmetry_Int_Tables_number 1
_cell_length_a 6.1919
_cell_length_b 6.1932
_cell_length_c 6.9251
_cell_angle_alpha 63.93
_cell_angle_beta 63.70
_cell_angle_gamma 60.01
loop_
_symmetry_equiv_pos_as_xyz
'x,y,z'
loop_
_atom_site_label
_atom_site_type_symbol
_atom_site_fract_x
_atom_site_fract_y
_atom_site_fract_z
Ba1 Ba 0.0000 0.0000 0.0000
Ba2 Ba 0.4125 0.4081 0.7613
Mg1 Mg 0.7773 0.7759 0.6681
Mn1 Mn 0.1790 0.1773 0.4625
W1 W 0.6096 0.6103 0.1715
O1 O 0.4226 0.9533 0.6741
O2 O 0.4401 0.9533 0.1667
O3 O 0.4416 0.4417 0.1646
O4 O 0.9503 0.9521 0.6737
O5 O 0.9531 0.4213 0.6748
O6 O 0.9528 0.4410 0.1658

# Na3VO3 GGA+U relaxed
# Distance to the lowest polymorph of the same formula, meV/atom: 10
# SG: No. 15
data_Na3VO3
_chemical_formula_sum 'Na12 V4 O12'
_symmetry_space_group_name_H-M 'P 1'
_symmetry_Int_Tables_number 1
_cell_length_a 8.7578
_cell_length_b 8.7578
_cell_length_c 6.1722
_cell_angle_alpha 110.00
_cell_angle_beta 110.00
_cell_angle_gamma 76.80
loop_
_symmetry_equiv_pos_as_xyz
'x,y,z'
loop_
_atom_site_label
_atom_site_type_symbol
_atom_site_fract_x
_atom_site_fract_y
_atom_site_fract_z
Na1 Na 0.0598 0.9402 0.7500
Na2 Na 0.1353 0.2680 0.0760
Na3 Na 0.2197 0.7803 0.2500
Na4 Na 0.2680 0.1353 0.5760
Na5 Na 0.3258 0.4954 0.9490
Na6 Na 0.4954 0.3258 0.4490
Na7 Na 0.5046 0.6742 0.5510
Na8 Na 0.6742 0.5046 0.0510
Na9 Na 0.7320 0.8647 0.4240
Na10 Na 0.7803 0.2197 0.7500
Na11 Na 0.8647 0.7320 0.9240
Na12 Na 0.9402 0.0598 0.2500
V1 V 0.0755 0.5856 0.4073
V2 V 0.4144 0.9245 0.0927
V3 V 0.5856 0.0755 0.9073
V4 V 0.9245 0.4144 0.5927
O1 O 0.0180 0.2111 0.6622
O2 O 0.0686 0.5929 0.7280
O3 O 0.2111 0.0180 0.1622
O4 O 0.2726 0.5089 0.3157
O5 O 0.4071 0.9314 0.7720
O6 O 0.4911 0.7274 0.1843
O7 O 0.5089 0.2726 0.8157
O8 O 0.5929 0.0686 0.2280
O9 O 0.7274 0.4911 0.6843
O10 O 0.7889 0.9820 0.8378
O11 O 0.9314 0.4071 0.2720
O12 O 0.9820 0.7889 0.3378

# CaLaFeBiO6 GGA+U relaxed
# Distance to the lowest polymorph of the same formula, meV/atom: 257
# SG: No. 82
data_CaLaFeBiO6
_chemical_formula_sum 'Ca1 La1 Fe1 Bi1 O6'
_symmetry_space_group_name_H-M 'P 1'
_symmetry_Int_Tables_number 1
_cell_length_a 5.9092
_cell_length_b 5.9092
_cell_length_c 5.9092
_cell_angle_alpha 121.71
_cell_angle_beta 121.71
_cell_angle_gamma 87.07
loop_
_symmetry_equiv_pos_as_xyz
'x,y,z'
loop_
_atom_site_label
_atom_site_type_symbol
_atom_site_fract_x
_atom_site_fract_y
_atom_site_fract_z
Ca1 Ca 0.0000 0.0000 0.0000
La1 La 0.7500 0.2500 0.5000
Fe1 Fe 0.2500 0.7500 0.5000
Bi1 Bi 0.5000 0.5000 0.0000
O1 O 0.0155 0.5155 0.5000
O2 O 0.1227 0.0668 0.6809
O3 O 0.3859 0.4418 0.3191
O4 O 0.4845 0.9845 0.5000
O5 O 0.5582 0.8773 0.9440
O6 O 0.9332 0.6141 0.0560

| no. | energy of formation from the pure elements (eV per atom) |
| --- | --- |
| 1 | -2.722 |
| 2 | -2.729 |
| 3 | -2.269 |
| 4 | -1.920 |
| 5 | -2.244 |